Record 1
First-principles (r²SCAN) data for a relaxed structure of LiMg2, as listed in the Materials Project.

Calculated values
The total energy comes out at -3.602 eV/atom. As for the total magnetization: 0.00 μB per formula unit. The calculation puts the mass density at 1443 kg/m³.

Unit cell a=8.262 b=8.262 c=5.028 alpha=90.00 beta=90.00 gamma=158.12
Fractional coordinates of all 6 atoms:
Mg 0.722 0.278 0.750
Mg 0.945 0.055 0.250
Mg 0.278 0.722 0.250
Mg 0.055 0.945 0.750
Li 0.611 0.389 0.250
Li 0.389 0.611 0.750

***

Record 2
First-principles (r²SCAN) data for a relaxed structure of Sr2ZnIn, as listed in the Materials Project.

Calculated values
The total energy comes out at -15.784 eV/atom. As for the total magnetization: 0.00 μB per formula unit. The calculation puts the mass density at 4682 kg/m³.

Unit cell a=5.628 b=5.628 c=5.628 alpha=60.00 beta=60.00 gamma=60.00
Fractional coordinates of all 4 atoms:
Zn 0.000 0.000 0.000
Sr 0.750 0.750 0.750
Sr 0.250 0.250 0.250
In 0.500 0.500 0.500

***

Record 3
First-principles (r²SCAN) data for a relaxed structure of BaGe3Ir, as listed in the Materials Project.

Calculated values
The total energy comes out at -24.637 eV/atom. As for the total magnetization: 0.00 μB per formula unit. The calculation puts the mass density at 8476 kg/m³.

Unit cell a=6.060 b=6.060 c=6.060 alpha=135.65 beta=135.65 gamma=64.52
Fractional coordinates of all 5 atoms:
Ge 0.842 0.342 0.500
Ge 0.342 0.842 0.500
Ge 0.001 0.001 0.000
Ba 0.589 0.589 0.000
Ir 0.241 0.241 0.000

***

Q: Which of these has the lowest mass density?
A: LiMg2